1.
Computed, not measured: a geometry-optimized CeAl structure at the PBE-GGA level of DFT.

a b c (Å): 3.673 3.673 3.673
angles (deg): 90.00 90.00 90.00
Space group Pm-3m (No. 221)
One atom of each set of equivalent atoms:
1 Ce 0.000 0.000 0.000 [1 per cell]
2 Al 0.500 0.500 0.500 [1 per cell]

Computed properties:
Its energy relative to the elements is -0.244 eV per atom. As for the total magnetization: 0.9 Bohr magnetons per cell. Its total energy is -5.083 eV per atom.

---

2.
Computed, not measured: a geometry-optimized Ta2N3 structure at the PBE-GGA level of DFT.

a b c (Å): 8.239 3.000 8.201
angles (deg): 90.00 90.00 90.00
Space group Pnma (No. 62)
One atom of each set of equivalent atoms:
1 Ta 0.021 0.250 0.187 [4 per cell]
2 Ta 0.194 0.250 0.504 [4 per cell]
3 N 0.046 0.750 0.375 [4 per cell]
4 N 0.121 0.250 0.950 [4 per cell]
5 N 0.220 0.750 0.699 [4 per cell]

Computed properties:
The value obtained for the MP2020-corrected energy is -10.991 eV per atom. Its energy relative to the elements is -1.246 eV per atom. Its total energy is -10.774 eV per atom.

---

3.
Computed, not measured: a geometry-optimized LiPr2Al structure at the PBE-GGA level of DFT.

a b c (Å): 7.573 7.573 7.573
angles (deg): 90.00 90.00 90.00
Space group Fm-3m (No. 225)
One atom of each set of equivalent atoms:
1 Li 0.000 0.000 0.000 [4 per cell]
2 Pr 0.250 0.250 0.250 [8 per cell]
3 Al 0.000 0.000 0.500 [4 per cell]

Computed properties:
Its energy relative to the elements is -0.188 eV per atom. Its total energy is -3.992 eV per atom.

---

4.
Computed, not measured: a geometry-optimized CeZn20Ir2 structure at the PBE-GGA level of DFT.

a b c (Å): 14.328 14.328 14.328
angles (deg): 90.00 90.00 90.00
Space group Fd-3m (No. 227, origin choice 2)
One atom of each set of equivalent atoms:
1 Ce 0.125 0.125 0.125 [8 per cell]
2 Zn 0.000 0.000 0.000 [16 per cell]
3 Zn 0.013 0.375 0.875 [48 per cell]
4 Zn 0.060 0.060 0.323 [96 per cell]
5 Ir 0.000 0.000 0.500 [16 per cell]

Computed properties:
Its energy relative to the elements is -0.230 eV per atom. As for the total magnetization: 3.6 Bohr magnetons per cell. Its total energy is -2.352 eV per atom.

---

5.
Computed, not measured: a geometry-optimized AlCuO3 structure at the PBE-GGA level of DFT.

a b c (Å): 4.709 6.782 6.233
angles (deg): 90.00 94.52 90.00
Space group P2_1/c (No. 14)
One atom of each set of equivalent atoms:
1 Al 0.018 0.198 0.252 [4 per cell]
2 Cu 0.500 0.000 0.000 [2 per cell]
3 Cu 0.500 0.000 0.500 [2 per cell]
4 O 0.161 0.556 0.830 [4 per cell]
5 O 0.195 0.189 0.997 [4 per cell]
6 O 0.351 0.606 0.242 [4 per cell]

Computed properties:
The value obtained for the MP2020-corrected energy is -6.594 eV per atom. Its energy relative to the elements is -2.056 eV per atom. As for the total magnetization: 0.0 Bohr magnetons per cell. Its total energy is -6.181 eV per atom.

---

6.
Computed, not measured: a geometry-optimized K8NO3 structure at the PBE-GGA level of DFT.

a b c (Å): 6.556 6.556 6.556
angles (deg): 90.00 90.00 90.00
Space group Pm-3m (No. 221)
One atom of each set of equivalent atoms:
1 K 0.246 0.246 0.246 [8 per cell]
2 N 0.500 0.500 0.500 [1 per cell]
3 O 0.000 0.000 0.500 [3 per cell]

Computed properties:
The value obtained for the MP2020-corrected energy is -3.422 eV per atom. Its energy relative to the elements is -0.750 eV per atom. As for the total magnetization: 1.0 Bohr magnetons per cell. Its total energy is -3.250 eV per atom.

---

7.
Computed, not measured: a geometry-optimized Cu2C3Br5N structure at the PBE-GGA level of DFT.

a b c (Å): 9.908 14.752 20.160
angles (deg): 90.00 105.97 90.00
Space group P2_1/c (No. 14)
One atom of each set of equivalent atoms:
1 Cu 0.004 0.215 0.402 [4 per cell]
2 Cu 0.248 0.512 0.054 [4 per cell]
3 Cu 0.339 0.694 0.579 [4 per cell]
4 Cu 0.437 0.148 0.492 [4 per cell]
5 C 0.075 0.140 0.197 [4 per cell]
6 C 0.124 0.125 0.148 [4 per cell]
7 C 0.167 0.063 0.738 [4 per cell]
8 C 0.297 0.116 0.081 [4 per cell]
9 C 0.388 0.115 0.819 [4 per cell]
10 C 0.496 0.640 0.643 [4 per cell]
11 Br 0.058 0.617 0.016 [4 per cell]
12 Br 0.087 0.006 0.658 [4 per cell]
13 Br 0.110 0.177 0.286 [4 per cell]
14 Br 0.177 0.599 0.500 [4 per cell]
15 Br 0.193 0.715 0.667 [4 per cell]
16 Br 0.233 0.235 0.936 [4 per cell]
17 Br 0.306 0.015 0.443 [4 per cell]
18 Br 0.388 0.115 0.606 [4 per cell]
19 Br 0.402 0.730 0.466 [4 per cell]
20 Br 0.440 0.646 0.109 [4 per cell]
21 N 0.201 0.118 0.106 [4 per cell]
22 N 0.275 0.088 0.777 [4 per cell]

Computed properties:
The value obtained for the MP2020-corrected energy is -4.375 eV per atom. Its energy relative to the elements is 0.389 eV per atom. As for the total magnetization: 12.0 Bohr magnetons per cell. Its total energy is -4.342 eV per atom.

---

8.
Computed, not measured: a geometry-optimized Y3Mg structure at the PBE-GGA level of DFT.

a b c (Å): 4.946 4.946 4.946
angles (deg): 90.00 90.00 90.00
Space group Pm-3m (No. 221)
One atom of each set of equivalent atoms:
1 Y 0.000 0.000 0.500 [3 per cell]
2 Mg 0.500 0.500 0.500 [1 per cell]

Computed properties:
Its energy relative to the elements is 0.025 eV per atom. As for the total magnetization: 0.7 Bohr magnetons per cell. Its total energy is -5.225 eV per atom.